(1)
This record from the Materials Project database describes Na15CaNb11Si18O72 after structural relaxation. The functional is PBE-GGA.

Lattice parameters (Å, degrees): 9.084 9.083 22.764 90.13 89.87 120.17
Element x y z (fractional)
O: 0.813 0.976 0.409
Si: 0.286 0.291 0.752
Nb: 0.667 0.338 0.979
Si: 0.964 0.336 0.583
Nb: 0.994 0.999 0.146
Na: 0.366 0.366 0.251
Na: 0.026 0.688 0.583
O: 0.972 0.167 0.307
O: 0.807 0.833 0.193
O: 0.855 0.495 0.424
Na: 0.662 0.974 0.583
O: 0.508 0.140 0.923
O: 0.852 0.353 0.923
O: 0.361 0.496 0.357
O: 0.147 0.647 0.076
O: 0.157 0.497 0.571
O: 0.837 0.026 0.090
Na: 0.334 0.667 0.168
O: 0.982 0.814 0.089
Nb: 0.666 0.333 0.477
Na: 0.632 0.619 0.746
O: 0.691 0.161 0.753
O: 0.308 0.830 0.257
Nb: 0.333 0.662 0.022
O: 0.802 0.967 0.693
O: 0.470 0.170 0.529
Si: 0.286 0.997 0.249
O: 0.806 0.838 0.911
O: 0.978 0.161 0.588
O: 0.173 0.473 0.257
O: 0.524 0.818 0.756
O: 0.306 0.837 0.976
O: 0.494 0.860 0.076
O: 0.195 0.033 0.305
Si: 0.663 0.627 0.583
Na: 0.383 0.014 0.745
O: 0.985 0.819 0.807
Ca: 0.667 0.333 0.683
Na: 0.333 0.667 0.665
O: 0.505 0.359 0.424
Nb: 0.999 0.000 0.355
O: 0.634 0.140 0.139
O: 0.503 0.660 0.571
O: 0.140 0.639 0.360
O: 0.165 0.976 0.911
Nb: 0.000 0.000 0.646
O: 0.182 0.021 0.588
Na: 0.311 0.338 0.583
Na: 0.300 0.968 0.084
O: 0.474 0.172 0.242
O: 0.294 0.476 0.756
O: 0.193 0.160 0.090
O: 0.476 0.088 0.643
O: 0.641 0.145 0.424
O: 0.503 0.638 0.858
Si: 0.332 0.956 0.919
Nb: 0.005 0.000 0.857
Si: 0.005 0.714 0.752
Nb: 0.333 0.666 0.815
Si: 0.626 0.959 0.416
O: 0.168 0.476 0.973
O: 0.308 0.467 0.473
O: 0.018 0.187 0.911
Si: 0.670 0.047 0.082
O: 0.686 0.519 0.243
O: 0.182 0.707 0.757
O: 0.526 0.698 0.973
O: 0.834 0.527 0.026
Na: 0.701 0.035 0.918
O: 0.473 0.302 0.028
Si: 0.621 0.663 0.917
O: 0.025 0.837 0.409
O: 0.340 0.843 0.571
O: 0.640 0.495 0.924
O: 0.171 0.972 0.190
Si: 0.372 0.036 0.583
Si: 0.334 0.375 0.414
O: 0.495 0.362 0.143
O: 0.612 0.523 0.643
O: 0.166 0.200 0.692
Si: 0.955 0.622 0.083
O: 0.535 0.843 0.474
Nb: 0.333 0.666 0.514
Si: 0.711 0.712 0.251
O: 0.500 0.859 0.360
Na: 0.666 0.339 0.831
O: 0.135 0.496 0.858
Si: 0.379 0.335 0.084
O: 0.829 0.014 0.810
O: 0.164 0.187 0.409
Si: 0.710 0.995 0.753
O: 0.839 0.530 0.753
O: 0.912 0.388 0.644
Na: 0.000 0.000 0.494
Na: 0.000 0.001 0.002
O: 0.364 0.864 0.860
O: 0.830 0.307 0.242
O: 0.860 0.500 0.140
Si: 0.043 0.378 0.917
O: 0.829 0.299 0.529
O: 0.519 0.685 0.256
Na: 0.985 0.368 0.746
O: 0.834 0.806 0.307
Nb: 0.333 0.672 0.312
Na: 0.673 0.332 0.334
O: 0.032 0.195 0.194
O: 0.839 0.818 0.588
O: 0.359 0.503 0.075
Si: 0.041 0.667 0.415
Nb: 0.671 0.334 0.188
O: 0.470 0.309 0.753
Si: 0.998 0.288 0.251
O: 0.158 0.692 0.474
O: 0.034 0.834 0.692
O: 0.701 0.530 0.529
O: 0.695 0.161 0.024
O: 0.180 0.168 0.807

(2)
This record from the Materials Project database describes Na3Ca7Ti7Nb3O30 after structural relaxation. The functional is PBE-GGA.

Lattice parameters (Å, degrees): 3.934 7.868 19.631 89.98 90.00 90.00
Element x y z (fractional)
O: 0.000 0.250 0.301
O: 0.000 0.741 0.104
O: 0.500 0.750 0.400
O: 0.000 0.250 0.499
Ti: 0.500 0.250 0.300
Nb: 0.500 0.749 0.898
O: 0.000 0.750 0.301
Ti: 0.500 0.750 0.498
Ti: 0.500 0.753 0.101
O: 0.500 0.737 0.003
O: 0.500 0.748 0.201
O: 0.500 0.500 0.302
O: 0.000 0.750 0.692
Na: 0.000 0.991 0.796
O: 0.500 0.750 0.598
O: 0.000 0.250 0.694
Ca: 0.000 0.507 0.014
O: 0.500 0.501 0.500
O: 0.000 0.259 0.104
Nb: 0.500 0.250 0.699
O: 0.500 0.500 0.903
O: 0.500 0.749 0.798
Na: 0.000 0.997 0.007
O: 0.500 0.502 0.693
O: 0.500 0.999 0.902
Nb: 0.500 0.250 0.903
Ti: 0.500 0.750 0.299
O: 0.500 0.250 0.400
O: 0.000 0.742 0.903
Ti: 0.500 0.750 0.697
O: 0.500 0.250 0.597
Ca: 0.000 0.503 0.198
O: 0.500 0.000 0.106
Ti: 0.500 0.248 0.104
Ca: 0.000 0.516 0.596
O: 0.500 0.500 0.102
O: 0.500 0.000 0.301
Ca: 0.000 0.984 0.596
O: 0.500 0.999 0.500
O: 0.500 0.252 0.201
Ca: 0.000 0.998 0.398
Ca: 0.000 0.502 0.398
O: 0.500 0.998 0.693
O: 0.000 0.750 0.501
Na: 0.000 0.509 0.797
Ti: 0.500 0.250 0.498
O: 0.000 0.257 0.902
O: 0.500 0.251 0.799
O: 0.500 0.261 0.003
Ca: 0.000 0.997 0.198

(3)
This record from the Materials Project database describes NaCaP3O9 after structural relaxation. The functional is PBE-GGA.

Lattice parameters (Å, degrees): 6.811 7.042 7.741 83.53 81.30 82.75
Element x y z (fractional)
O: 0.915 0.957 0.346
P: 0.168 0.202 0.723
O: 0.680 0.908 0.701
O: 0.235 0.658 0.859
O: 0.340 0.734 0.430
O: 0.765 0.342 0.141
Ca: 0.987 0.272 0.362
O: 0.085 0.043 0.654
P: 0.385 0.884 0.279
O: 0.214 0.485 0.176
O: 0.172 0.383 0.597
O: 0.623 0.863 0.210
P: 0.832 0.798 0.277
O: 0.043 0.242 0.912
P: 0.811 0.335 0.946
O: 0.660 0.266 0.570
Ca: 0.013 0.728 0.638
Na: 0.466 0.373 0.338
O: 0.320 0.092 0.299
O: 0.689 0.171 0.896
P: 0.615 0.116 0.721
Na: 0.534 0.627 0.662
O: 0.957 0.758 0.088
P: 0.189 0.665 0.054
O: 0.828 0.617 0.403
O: 0.786 0.515 0.824
O: 0.377 0.137 0.790
O: 0.311 0.829 0.104

(4)
This record from the Materials Project database describes Na2CaP2O11 after structural relaxation. The functional is PBE-GGA.

Lattice parameters (Å, degrees): 8.873 5.753 9.718 81.29 90.00 90.00
Element x y z (fractional)
O: 0.400 0.699 0.858
O: 0.801 0.010 0.382
O: 0.131 0.594 0.835
Na: 0.316 0.325 0.972
Na: 0.631 0.788 0.940
O: 0.874 0.780 0.863
Ca: 0.027 0.010 0.514
P: 0.251 0.813 0.801
O: 0.498 0.311 0.683
O: 0.128 0.246 0.142
O: 0.896 0.342 0.857
Ca: 0.973 0.010 0.014
O: 0.557 0.232 0.796
O: 0.059 0.641 0.135
O: 0.126 0.780 0.363
O: 0.104 0.342 0.357
P: 0.050 0.590 0.293
O: 0.395 0.902 0.050
Na: 0.369 0.788 0.440
P: 0.749 0.813 0.301
O: 0.872 0.246 0.642
O: 0.605 0.902 0.550
O: 0.600 0.699 0.358
O: 0.941 0.641 0.635
Na: 0.684 0.325 0.472
O: 0.502 0.311 0.183
O: 0.751 0.895 0.144
O: 0.249 0.895 0.644
O: 0.869 0.594 0.335
O: 0.199 0.010 0.882
P: 0.950 0.590 0.793
O: 0.443 0.232 0.296

Summary:
**Polymorph energy (0 for the lowest one)**: 27.8 meV per atom

(5)
This record from the Materials Project database describes Na2CaP2O11 after structural relaxation. The functional is PBE-GGA.

Lattice parameters (Å, degrees): 9.981 9.981 6.016 82.21 82.21 119.43
Element x y z (fractional)
O: 0.853 0.958 0.035
O: 0.198 0.557 0.698
O: 0.138 0.078 0.936
O: 0.449 0.765 0.737
O: 0.459 0.447 0.529
Na: 0.304 0.154 0.218
O: 0.582 0.575 0.968
O: 0.447 0.459 0.029
O: 0.958 0.853 0.535
O: 0.539 0.177 0.788
O: 0.713 0.101 0.958
Ca: 0.017 0.497 0.035
O: 0.979 0.244 0.067
O: 0.557 0.198 0.198
O: 0.101 0.713 0.458
P: 0.648 0.226 0.950
O: 0.244 0.979 0.567
O: 0.078 0.138 0.436
O: 0.795 0.393 0.872
P: 0.825 0.083 0.122
O: 0.575 0.582 0.468
P: 0.226 0.648 0.450
O: 0.765 0.449 0.237
O: 0.030 0.734 0.873
Na: 0.785 0.920 0.683
Ca: 0.497 0.017 0.535
P: 0.083 0.825 0.622
Na: 0.920 0.785 0.183
O: 0.393 0.795 0.372
Na: 0.154 0.304 0.718
O: 0.734 0.030 0.373
O: 0.177 0.539 0.288

Summary:
**Polymorph energy (0 for the lowest one)**: 0.0 meV per atom

(6)
This record from the Materials Project database describes Na4Ca2P2SO12 after structural relaxation. The functional is PBE-GGA.

Lattice parameters (Å, degrees): 9.511 9.501 22.937 90.09 90.00 120.04
Element x y z (fractional)
O: 0.997 0.181 0.585
O: 0.440 0.125 0.530
Na: 0.043 0.343 0.091
O: 0.664 0.514 0.918
P: 0.642 0.974 0.416
O: 0.316 0.873 0.971
P: 0.333 0.974 0.916
O: 0.147 0.674 0.753
O: 0.874 0.317 0.529
O: 0.893 0.350 0.639
O: 0.227 0.016 0.306
P: 0.666 0.641 0.583
Na: 0.331 0.014 0.410
O: 0.185 0.196 0.414
Na: 0.997 0.347 0.743
O: 0.008 0.824 0.415
Ca: 0.329 0.669 0.320
Na: 0.980 0.991 0.500
O: 0.491 0.145 0.918
O: 0.482 0.157 0.248
O: 0.517 0.847 0.751
O: 0.987 0.811 0.084
Ca: 0.996 0.002 0.653
Ca: 0.669 0.335 0.680
Na: 0.011 0.633 0.248
Ca: 0.333 0.669 0.513
P: 0.975 0.641 0.083
O: 0.341 0.490 0.082
Ca: 0.673 0.335 0.487
O: 0.012 0.196 0.914
O: 0.458 0.111 0.636
O: 0.777 0.984 0.696
O: 0.815 0.824 0.915
O: 0.791 0.777 0.303
O: 0.860 0.340 0.920
O: 0.877 0.554 0.028
O: 0.773 0.792 0.197
O: 0.320 0.478 0.751
O: 0.345 0.863 0.581
Na: 0.288 0.966 0.082
Na: 0.710 0.677 0.425
O: 0.560 0.683 0.973
O: 0.330 0.847 0.251
O: 0.210 0.221 0.694
O: 0.320 0.444 0.469
O: 0.124 0.444 0.969
Ca: 0.335 0.669 0.013
O: 0.110 0.650 0.363
O: 0.223 0.206 0.805
Ca: 0.340 0.669 0.820
O: 0.790 0.016 0.806
O: 0.851 0.530 0.747
O: 0.677 0.554 0.528
Na: 0.955 0.300 0.415
O: 0.653 0.145 0.418
O: 0.986 0.777 0.803
S: 0.001 0.694 0.750
S: 0.668 0.027 0.083
O: 0.158 0.478 0.251
Ca: 0.006 0.002 0.153
O: 0.018 0.792 0.697
O: 0.149 0.663 0.082
Ca: 0.667 0.335 0.180
Na: 0.344 0.657 0.667
O: 0.184 0.181 0.085
O: 0.518 0.863 0.081
Ca: 0.662 0.335 0.987
O: 0.527 0.674 0.253
O: 0.149 0.490 0.582
S: 0.360 0.027 0.583
Na: 0.377 0.010 0.758
O: 0.847 0.330 0.249
O: 0.890 0.540 0.138
O: 0.514 0.663 0.582
Na: 0.967 0.677 0.925
P: 0.644 0.668 0.917
S: 0.334 0.361 0.417
P: 0.690 0.001 0.751
Na: 0.350 0.347 0.243
O: 0.678 0.530 0.247
P: 0.310 0.001 0.251
Na: 0.678 0.966 0.582
O: 0.123 0.683 0.473
Ca: 0.002 0.002 0.347
O: 0.814 0.007 0.086
Na: 0.010 0.991 0.000
O: 0.011 0.221 0.194
O: 0.557 0.873 0.471
O: 0.443 0.317 0.029
O: 0.457 0.350 0.139
O: 0.106 0.458 0.863
P: 0.024 0.668 0.417
O: 0.983 0.206 0.305
Na: 0.017 0.681 0.576
Na: 0.677 0.324 0.333
O: 0.850 0.514 0.418
P: 0.357 0.334 0.084
O: 0.816 0.997 0.415
Ca: 0.000 0.002 0.847
S: 0.026 0.361 0.917
Na: 0.647 0.324 0.833
O: 0.352 0.458 0.363
O: 0.207 0.984 0.196
O: 0.650 0.540 0.638
O: 0.181 0.997 0.915
S: 0.693 0.694 0.250
O: 0.194 0.007 0.586
O: 0.544 0.888 0.361
Na: 0.300 0.343 0.591
O: 0.825 0.811 0.584
P: 0.977 0.334 0.584
P: 0.308 0.308 0.750
O: 0.344 0.888 0.861
O: 0.685 0.125 0.030
Na: 0.345 0.300 0.915
O: 0.653 0.111 0.136
Na: 0.633 0.010 0.258
Na: 0.314 0.657 0.167
O: 0.540 0.650 0.863
O: 0.480 0.340 0.420
Na: 0.622 0.633 0.748
Na: 0.664 0.681 0.076
P: 0.000 0.308 0.250
Na: 0.683 0.014 0.910
O: 0.482 0.330 0.749
O: 0.675 0.157 0.748

no.,energy of formation (meV per atom)
1,-2981
2,-3278
3,-2860
4,-1584
5,-1612
6,-2721